No. 1
VASP calculation (PBE) on Pr3Ge13Os4 after structural relaxation.

a b c (Å): 9.185 9.185 9.185
angles (deg): 90.00 90.00 90.00
Fractional coordinates of all 40 atoms:
Pr1 0.000 0.250 0.500
Pr2 0.000 0.750 0.500
Pr3 0.250 0.500 0.000
Pr4 0.500 0.000 0.250
Pr5 0.500 0.000 0.750
Pr6 0.750 0.500 0.000
Ge1 0.000 0.000 0.000
Ge2 0.000 0.295 0.146
Ge3 0.000 0.295 0.854
Ge4 0.000 0.705 0.146
Ge5 0.000 0.705 0.854
Ge6 0.146 0.000 0.295
Ge7 0.146 0.000 0.705
Ge8 0.205 0.500 0.354
Ge9 0.205 0.500 0.646
Ge10 0.295 0.146 0.000
Ge11 0.295 0.854 0.000
Ge12 0.354 0.205 0.500
Ge13 0.354 0.795 0.500
Ge14 0.500 0.354 0.205
Ge15 0.500 0.354 0.795
Ge16 0.500 0.500 0.500
Ge17 0.500 0.646 0.205
Ge18 0.500 0.646 0.795
Ge19 0.646 0.205 0.500
Ge20 0.646 0.795 0.500
Ge21 0.705 0.146 0.000
Ge22 0.705 0.854 0.000
Ge23 0.795 0.500 0.354
Ge24 0.795 0.500 0.646
Ge25 0.854 0.000 0.295
Ge26 0.854 0.000 0.705
Os1 0.250 0.250 0.250
Os2 0.250 0.250 0.750
Os3 0.250 0.750 0.250
Os4 0.250 0.750 0.750
Os5 0.750 0.250 0.250
Os6 0.750 0.250 0.750
Os7 0.750 0.750 0.250
Os8 0.750 0.750 0.750

Calculated values
The calculated total energy is -6.2900 eV per atom. The calculation puts the formation energy at -0.32 eV per atom. Its symmetry is No. 223.


No. 2
VASP calculation (PBE) on Ga3Te9Pd32 after structural relaxation.

a b c (Å): 15.139 15.139 15.139
angles (deg): 29.49 29.49 29.49
Fractional coordinates of all 44 atoms:
Ga1 0.000 0.000 0.000
Ga2 0.158 0.158 0.158
Ga3 0.658 0.658 0.658
Te1 0.088 0.404 0.729
Te2 0.227 0.908 0.592
Te3 0.316 0.316 0.316
Te4 0.404 0.729 0.088
Te5 0.500 0.500 0.500
Te6 0.592 0.227 0.908
Te7 0.729 0.088 0.404
Te8 0.815 0.815 0.815
Te9 0.908 0.592 0.227
Pd1 0.004 0.275 0.538
Pd2 0.010 0.366 0.646
Pd3 0.035 0.794 0.295
Pd4 0.038 0.774 0.505
Pd5 0.097 0.097 0.097
Pd6 0.143 0.872 0.508
Pd7 0.170 0.439 0.812
Pd8 0.219 0.219 0.219
Pd9 0.275 0.538 0.004
Pd10 0.288 0.536 0.803
Pd11 0.295 0.035 0.794
Pd12 0.307 0.941 0.675
Pd13 0.366 0.646 0.010
Pd14 0.376 0.376 0.376
Pd15 0.439 0.812 0.170
Pd16 0.440 0.440 0.440
Pd17 0.505 0.038 0.774
Pd18 0.508 0.143 0.872
Pd19 0.536 0.803 0.288
Pd20 0.538 0.004 0.275
Pd21 0.597 0.597 0.597
Pd22 0.646 0.010 0.366
Pd23 0.675 0.307 0.941
Pd24 0.718 0.718 0.718
Pd25 0.774 0.505 0.038
Pd26 0.794 0.295 0.035
Pd27 0.803 0.288 0.536
Pd28 0.812 0.170 0.439
Pd29 0.872 0.508 0.143
Pd30 0.876 0.876 0.876
Pd31 0.941 0.675 0.307
Pd32 0.942 0.942 0.942

Calculated values
The calculated total energy is -4.9696 eV per atom. The calculation puts the formation energy at -0.35 eV per atom. Its symmetry is No. 146.


No. 3
VASP calculation (PBE) on SrCrPd2 after structural relaxation.

a b c (Å): 4.851 4.851 4.851
angles (deg): 60.00 60.00 60.00
Fractional coordinates of all 4 atoms:
Sr1 0.000 0.000 0.000
Cr1 0.750 0.750 0.750
Pd1 0.250 0.250 0.250
Pd2 0.500 0.500 0.500

Calculated values
The calculated total energy is -5.3030 eV per atom. The calculation puts the formation energy at 0.12 eV per atom. Its symmetry is No. 216.


No. 4
VASP calculation (PBE) on TbIn3 after structural relaxation.

a b c (Å): 4.663 4.663 4.663
angles (deg): 90.00 90.00 90.00
Fractional coordinates of all 4 atoms:
Tb1 0.000 0.000 0.000
In1 0.000 0.500 0.500
In2 0.500 0.000 0.500
In3 0.500 0.500 0.000

Calculated values
The calculated total energy is -3.6426 eV per atom. The calculation puts the formation energy at -0.42 eV per atom. Its symmetry is No. 221.


No. 5
VASP calculation (PBE) on ErH2 after structural relaxation.

a b c (Å): 3.623 3.623 3.623
angles (deg): 60.00 60.00 60.00
Fractional coordinates of all 3 atoms:
Er1 0.000 0.000 0.000
H1 0.250 0.250 0.250
H2 0.750 0.750 0.750

Calculated values
The calculated total energy is -4.4706 eV per atom. The calculation puts the formation energy at -0.81 eV per atom. Its symmetry is No. 225.


No. 6
VASP calculation (PBE) on CuC2O8 after structural relaxation.

a b c (Å): 4.437 10.332 10.154
angles (deg): 90.00 95.60 90.00
Fractional coordinates of all 22 atoms:
Cu1 0.000 0.000 0.000
Cu2 0.000 0.500 0.500
C1 0.107 0.173 0.706
C2 0.107 0.327 0.206
C3 0.893 0.673 0.794
C4 0.893 0.827 0.294
O1 0.075 0.067 0.744
O2 0.075 0.433 0.244
O3 0.138 0.220 0.168
O4 0.138 0.280 0.668
O5 0.401 0.527 0.541
O6 0.401 0.973 0.041
O7 0.442 0.542 0.962
O8 0.442 0.958 0.462
O9 0.558 0.042 0.538
O10 0.558 0.458 0.038
O11 0.599 0.027 0.959
O12 0.599 0.473 0.459
O13 0.862 0.720 0.332
O14 0.862 0.780 0.832
O15 0.925 0.567 0.756
O16 0.925 0.933 0.256

Calculated values
The calculated total energy is -6.3028 eV per atom. The calculation puts the formation energy at -0.77 eV per atom. The energy relative to the lowest polymorph listed for this composition comes out at 0.00 eV/f.u. Its symmetry is No. 14.


No. 7
VASP calculation (PBE) on Ti5CoSb3 after structural relaxation.

a b c (Å): 8.181 8.181 5.440
angles (deg): 90.00 90.00 120.00
Fractional coordinates of all 18 atoms:
Ti1 0.000 0.251 0.250
Ti2 0.000 0.749 0.750
Ti3 0.251 0.000 0.250
Ti4 0.251 0.251 0.750
Ti5 0.333 0.667 0.000
Ti6 0.333 0.667 0.500
Ti7 0.667 0.333 0.000
Ti8 0.667 0.333 0.500
Ti9 0.749 0.000 0.750
Ti10 0.749 0.749 0.250
Co1 0.000 0.000 0.000
Co2 0.000 0.000 0.500
Sb1 0.000 0.390 0.750
Sb2 0.000 0.610 0.250
Sb3 0.390 0.000 0.750
Sb4 0.390 0.390 0.250
Sb5 0.610 0.000 0.250
Sb6 0.610 0.610 0.750

Calculated values
The calculated total energy is -7.0436 eV per atom. The calculation puts the formation energy at -0.56 eV per atom. Its symmetry is No. 193.


No. 8
VASP calculation (PBE) on Rb3Cr20Te32 after structural relaxation.

a b c (Å): 11.141 11.885 13.725
angles (deg): 114.72 100.56 102.32
Fractional coordinates of all 55 atoms:
Rb1 0.000 0.000 0.000
Rb2 0.255 0.000 0.255
Rb3 0.745 0.000 0.745
Cr1 0.070 0.464 0.236
Cr2 0.117 0.162 0.626
Cr3 0.125 0.500 0.625
Cr4 0.133 0.837 0.623
Cr5 0.181 0.537 0.014
Cr6 0.321 0.464 0.487
Cr7 0.368 0.162 0.876
Cr8 0.375 0.500 0.875
Cr9 0.381 0.837 0.873
Cr10 0.430 0.538 0.264
Cr11 0.570 0.462 0.736
Cr12 0.619 0.163 0.127
Cr13 0.625 0.500 0.125
Cr14 0.632 0.838 0.124
Cr15 0.679 0.536 0.513
Cr16 0.819 0.463 0.986
Cr17 0.867 0.163 0.377
Cr18 0.875 0.500 0.375
Cr19 0.883 0.838 0.374
Cr20 0.930 0.536 0.764
Te1 0.004 0.659 0.993
Te2 0.107 0.402 0.776
Te3 0.108 0.064 0.773
Te4 0.119 0.739 0.772
Te5 0.131 0.261 0.478
Te6 0.142 0.935 0.477
Te7 0.143 0.597 0.473
Te8 0.247 0.342 0.257
Te9 0.254 0.658 0.243
Te10 0.358 0.403 0.027
Te11 0.359 0.064 0.023
Te12 0.369 0.739 0.022
Te13 0.381 0.262 0.729
Te14 0.391 0.935 0.726
Te15 0.393 0.597 0.723
Te16 0.497 0.342 0.508
Te17 0.503 0.658 0.492
Te18 0.607 0.403 0.277
Te19 0.609 0.065 0.274
Te20 0.619 0.738 0.271
Te21 0.631 0.261 0.978
Te22 0.641 0.936 0.977
Te23 0.642 0.597 0.973
Te24 0.746 0.342 0.757
Te25 0.753 0.658 0.743
Te26 0.857 0.403 0.527
Te27 0.858 0.065 0.523
Te28 0.869 0.739 0.522
Te29 0.881 0.261 0.228
Te30 0.892 0.936 0.227
Te31 0.893 0.598 0.224
Te32 0.996 0.341 0.007

Calculated values
The calculated total energy is -5.6765 eV per atom. The calculation puts the formation energy at -0.53 eV per atom. The energy relative to the lowest polymorph listed for this composition comes out at 0.00 eV/f.u. Its symmetry is No. 2.


No. 9
VASP calculation (PBE) on LiGd2In after structural relaxation.

a b c (Å): 5.303 5.303 5.303
angles (deg): 60.00 60.00 60.00
Fractional coordinates of all 4 atoms:
Li1 0.000 0.000 0.000
Gd1 0.250 0.250 0.250
Gd2 0.750 0.750 0.750
In1 0.500 0.500 0.500

Calculated values
The calculated total energy is -8.4841 eV per atom. The calculation puts the formation energy at -0.28 eV per atom. Its symmetry is No. 225.


No. 10
VASP calculation (PBE) on Tb3In5 after structural relaxation.

a b c (Å): 6.442 6.442 10.385
angles (deg): 90.00 90.00 77.85
Fractional coordinates of all 16 atoms:
Tb1 0.130 0.870 0.750
Tb2 0.297 0.297 0.000
Tb3 0.297 0.297 0.500
Tb4 0.703 0.703 0.000
Tb5 0.703 0.703 0.500
Tb6 0.870 0.130 0.250
In1 0.006 0.430 0.750
In2 0.189 0.811 0.047
In3 0.189 0.811 0.453
In4 0.430 0.006 0.250
In5 0.486 0.514 0.250
In6 0.514 0.486 0.750
In7 0.570 0.994 0.750
In8 0.811 0.189 0.547
In9 0.811 0.189 0.953
In10 0.994 0.570 0.250

Calculated values
The calculated total energy is -3.9232 eV per atom. The calculation puts the formation energy at -0.47 eV per atom. Its symmetry is No. 63.


No. 11
VASP calculation (PBE) on SrNi5N4 after structural relaxation.

a b c (Å): 5.566 8.455 5.212
angles (deg): 90.00 90.00 90.00
Fractional coordinates of all 20 atoms:
Sr1 0.250 0.250 0.149
Sr2 0.750 0.750 0.851
Ni1 0.019 0.595 0.343
Ni2 0.019 0.905 0.343
Ni3 0.250 0.750 0.700
Ni4 0.481 0.595 0.343
Ni5 0.481 0.905 0.343
Ni6 0.519 0.095 0.657
Ni7 0.519 0.405 0.657
Ni8 0.750 0.250 0.300
Ni9 0.981 0.095 0.657
Ni10 0.981 0.405 0.657
N1 0.131 0.750 0.100
N2 0.250 0.534 0.623
N3 0.250 0.966 0.623
N4 0.369 0.750 0.100
N5 0.631 0.250 0.900
N6 0.750 0.034 0.377
N7 0.750 0.466 0.377
N8 0.869 0.250 0.900

Calculated values
The calculated total energy is -6.3182 eV per atom. The calculation puts the formation energy at -0.07 eV per atom. Its symmetry is No. 59.


No. 12
VASP calculation (PBE) on DyAgTe2 after structural relaxation.

a b c (Å): 7.115 7.115 4.737
angles (deg): 90.00 90.00 90.00
Fractional coordinates of all 8 atoms:
Dy1 0.000 0.500 0.191
Dy2 0.500 0.000 0.809
Ag1 0.000 0.000 0.000
Ag2 0.500 0.500 0.000
Te1 0.202 0.298 0.709
Te2 0.298 0.798 0.291
Te3 0.702 0.202 0.291
Te4 0.798 0.702 0.709

Calculated values
The value obtained for the piezoelectric modulus e_max is 0.7 C/m². The calculated total energy is -4.3462 eV per atom. The calculation puts the formation energy at -1.13 eV per atom. Its symmetry is No. 113.